LiMn3P3O12, relaxed, DFT PBE+U; final energy = -7.3109 eV/atom; ρ = 3.46 g cm⁻³; symmetry = P1, No. 1; excess energy over the best structure of this formula in the dataset = 19 meV per atom
1.0
-5.4797 -1.9426 -3.4298
1.7204 -5.8293 5.9910
-2.2980 5.5931 6.0987
Li Mn P O
2 6 6 24
Cartesian
0.3162 -6.1816 5.1333 Li
-0.2898 -0.1208 6.0525 Li
-1.7712 -2.6867 8.1338 Mn
-3.4527 -4.1818 3.4632 Mn
-5.7732 -0.0080 6.4542 Mn
-0.2522 -2.1338 2.2022 Mn
-2.5884 1.9367 5.1927 Mn
-4.3432 0.5137 0.5282 Mn
-2.9006 0.3522 7.9749 P
-5.2564 0.8161 3.5153 P
-4.8329 -3.1295 6.2126 P
-1.2593 0.9460 2.4444 P
-0.8020 -2.9916 5.1443 P
-3.1289 -2.5099 0.6859 P
-2.5061 -0.9596 8.6882 O
-6.7576 1.2392 3.3638 O
-2.2286 1.5416 8.7588 O
-4.9644 -0.0926 2.2835 O
-3.6342 -2.5737 2.1390 O
-2.1519 -5.0524 1.9774 O
-3.9311 -5.7049 4.8467 O
-4.5331 -2.9252 4.7222 O
-4.9646 -0.0898 4.7411 O
-2.5597 1.4259 1.6981 O
-4.3218 2.0587 3.6493 O
-5.4446 -1.8705 6.9020 O
-0.7736 -0.3303 1.7105 O
-1.7036 -4.2668 5.0098 O
-3.5248 -3.5773 6.9654 O
-1.0770 -2.0840 3.9233 O
-1.5295 0.7263 3.9408 O
-2.1595 3.5260 3.8677 O
-3.8796 2.8939 6.6273 O
-2.4067 0.3842 6.5160 O
-1.1001 -2.0941 6.3768 O
-3.8257 -3.6783 -0.1083 O
0.6948 -3.4622 5.2953 O
-3.4147 -1.1310 0.0273 O